Rb3HoCl6 | GGA-PBE | relaxed

Unit cell a=13.691 b=13.691 c=12.978 alpha=99.09 beta=99.09 gamma=34.05
Sites, in units of the cell vectors:
Rb  0.034  0.658  0.856
Rb  0.151  0.526  0.201
Rb  0.197  0.704  0.567
Rb  0.296  0.803  0.933
Rb  0.342  0.966  0.644
Rb  0.474  0.849  0.299
Rb  0.526  0.151  0.701
Rb  0.658  0.034  0.356
Rb  0.704  0.197  0.067
Rb  0.803  0.296  0.433
Rb  0.849  0.474  0.799
Rb  0.966  0.342  0.144
Ho  0.000  0.500  0.500
Ho  0.283  0.717  0.250
Ho  0.500  0.000  0.000
Ho  0.717  0.283  0.750
Cl  0.004  0.113  0.680
Cl  0.113  0.004  0.180
Cl  0.122  0.223  0.419
Cl  0.139  0.360  0.686
Cl  0.217  0.667  0.066
Cl  0.223  0.122  0.919
Cl  0.282  0.364  0.465
Cl  0.333  0.783  0.434
Cl  0.360  0.139  0.186
Cl  0.364  0.282  0.965
Cl  0.414  0.468  0.804
Cl  0.468  0.414  0.304
Cl  0.532  0.586  0.696
Cl  0.586  0.532  0.196
Cl  0.636  0.718  0.035
Cl  0.640  0.861  0.814
Cl  0.667  0.217  0.566
Cl  0.718  0.636  0.535
Cl  0.777  0.878  0.081
Cl  0.783  0.333  0.934
Cl  0.861  0.640  0.314
Cl  0.878  0.777  0.581
Cl  0.887  0.996  0.820
Cl  0.996  0.887  0.320

Calculated volume, Å³/cell: 1343.5
E_tot, eV/cell: -159.95
ΔE_f, eV/atom: -2.51